[1]
Crystalline Na4NbZnSi2PO12 at its relaxed geometry, computed with PBE.

Magnetic moment   0.00 μB/cell
Formation energy from the elements   -2663 meV/atom

Unit cell a=9.1391 b=9.1391 c=22.2243 alpha=89.88 beta=90.12 gamma=119.54
Fractional positions:
Na 0.6454 0.0181 0.2478
Na 0.3785 0.3620 0.2433
Na 0.9755 0.6174 0.2455
Na 0.6380 0.6215 0.7433
Na 0.9819 0.3546 0.7478
Na 0.3826 0.0245 0.7455
Na 0.3121 0.3514 0.5811
Na 0.0452 0.6954 0.5766
Na 0.6422 0.9507 0.5788
Na 0.3046 0.9548 0.0766
Na 0.6486 0.6879 0.0811
Na 0.0493 0.3578 0.0788
Na 0.9787 0.6848 0.9145
Na 0.7118 0.0287 0.9099
Na 0.3089 0.2840 0.9122
Na 0.9713 0.2882 0.4099
Na 0.3152 0.0213 0.4145
Na 0.7160 0.6911 0.4122
Na 0.9952 0.9936 0.4920
Na 0.0064 0.0048 0.9920
Na 0.6619 0.3270 0.8254
Na 0.6730 0.3381 0.3254
Na 0.3286 0.6603 0.1587
Na 0.3397 0.6714 0.6587
Nb 0.9982 0.0006 0.6472
Nb 0.9994 0.0018 0.1472
Nb 0.6649 0.3339 0.9805
Nb 0.6661 0.3351 0.4805
Nb 0.3316 0.6672 0.3139
Nb 0.3328 0.6684 0.8139
Zn 0.9886 0.9925 0.3484
Zn 0.0075 0.0114 0.8484
Zn 0.6552 0.3259 0.6817
Zn 0.6741 0.3448 0.1817
Zn 0.3219 0.6592 0.0150
Zn 0.3408 0.6781 0.5150
Si 0.7041 0.7037 0.2528
Si 0.9993 0.2940 0.2533
Si 0.2963 0.2959 0.7528
Si 0.7060 0.0007 0.7533
Si 0.3707 0.0370 0.5861
Si 0.6660 0.6273 0.5867
Si 0.9630 0.6293 0.0861
Si 0.3727 0.3340 0.0867
Si 0.0374 0.3703 0.9194
Si 0.3326 0.9606 0.9200
Si 0.6297 0.9626 0.4194
Si 0.0394 0.6674 0.4200
P 0.2894 0.9973 0.2526
P 0.0027 0.7106 0.7526
P 0.9561 0.3306 0.5860
P 0.6694 0.0439 0.0860
P 0.6228 0.6640 0.9193
P 0.3360 0.3772 0.4193
O 0.2119 0.0244 0.3088
O 0.8170 0.7826 0.3114
O 0.9794 0.1861 0.3122
O 0.2174 0.1830 0.8114
O 0.9756 0.7881 0.8088
O 0.8139 0.0206 0.8122
O 0.8032 0.9690 0.6932
O 0.1655 0.1960 0.6933
O 0.0298 0.8282 0.6956
O 0.8040 0.8345 0.1933
O 0.0310 0.1968 0.1932
O 0.1718 0.9702 0.1956
O 0.8786 0.3577 0.6421
O 0.4837 0.1159 0.6447
O 0.6460 0.5194 0.6456
O 0.8841 0.5163 0.1447
O 0.6423 0.1214 0.1421
O 0.4806 0.3540 0.1456
O 0.4698 0.3023 0.0265
O 0.8322 0.5294 0.0266
O 0.6965 0.1615 0.0289
O 0.4706 0.1678 0.5266
O 0.6977 0.5302 0.5265
O 0.8385 0.3035 0.5289
O 0.5452 0.6910 0.9755
O 0.1504 0.4492 0.9780
O 0.3127 0.8528 0.9789
O 0.5508 0.8496 0.4780
O 0.3090 0.4548 0.4755
O 0.1472 0.6873 0.4789
O 0.1365 0.6357 0.3599
O 0.4988 0.8627 0.3599
O 0.3632 0.4949 0.3622
O 0.1373 0.5012 0.8599
O 0.3643 0.8635 0.8599
O 0.5051 0.6368 0.8622
O 0.0176 0.8312 0.4130
O 0.8192 0.9956 0.4133
O 0.1909 0.1990 0.4114
O 0.0044 0.1808 0.9133
O 0.1688 0.9824 0.9130
O 0.8010 0.8091 0.9114
O 0.9614 0.1594 0.5878
O 0.1847 0.0334 0.5886
O 0.8445 0.8153 0.5886
O 0.9666 0.8153 0.0886
O 0.8406 0.0386 0.0878
O 0.1847 0.1555 0.0886
O 0.6843 0.1646 0.7463
O 0.4859 0.3290 0.7466
O 0.8576 0.5324 0.7447
O 0.6710 0.5141 0.2466
O 0.8354 0.3157 0.2463
O 0.4676 0.1424 0.2447
O 0.6281 0.4927 0.9212
O 0.8514 0.3667 0.9219
O 0.5111 0.1487 0.9220
O 0.6333 0.1486 0.4219
O 0.5073 0.3719 0.4212
O 0.8513 0.4889 0.4220
O 0.3510 0.4979 0.0797
O 0.1525 0.6623 0.0799
O 0.5242 0.8657 0.0781
O 0.3377 0.8475 0.5799
O 0.5021 0.6490 0.5797
O 0.1343 0.4758 0.5781
O 0.2947 0.8260 0.2545
O 0.5181 0.7001 0.2552
O 0.1778 0.4820 0.2553
O 0.2999 0.4819 0.7552
O 0.1740 0.7053 0.7545
O 0.5180 0.8222 0.7553

=====

[2]
Crystalline Na9Nb4Zn2Si6P3O36 at its relaxed geometry, computed with PBE.

Offset from the most stable computed form   0.94 eV/f.u.
Magnetic moment   0.00 μB/cell
Formation energy from the elements   -2768 meV/atom

Unit cell a=15.7733 b=27.1551 c=9.0366 alpha=89.92 beta=125.02 gamma=90.04
Fractional positions:
Na 0.2587 0.2452 0.0302
Na 0.2510 0.5903 0.0200
Na 0.2605 0.9129 0.0265
Na 0.7502 0.2516 0.5037
Na 0.7466 0.5816 0.5011
Na 0.7586 0.9166 0.5232
Na 0.7510 0.0903 0.0200
Na 0.7605 0.4129 0.0265
Na 0.7587 0.7452 0.0302
Na 0.2466 0.0816 0.5011
Na 0.2586 0.4166 0.5232
Na 0.2502 0.7516 0.5037
Na 0.4862 0.0266 0.7168
Na 0.4908 0.3700 0.7493
Na 0.4860 0.6962 0.7241
Na 0.4907 0.2949 0.2557
Na 0.4993 0.6262 0.2677
Na 0.5005 0.9571 0.2771
Na 0.9860 0.1962 0.7241
Na 0.9862 0.5266 0.7168
Na 0.9908 0.8700 0.7493
Na 0.9993 0.1262 0.2677
Na 0.0005 0.4571 0.2771
Na 0.9907 0.7949 0.2557
Na 0.8173 0.9811 0.2117
Na 0.2073 0.3086 0.2961
Na 0.1985 0.9740 0.2783
Na 0.2005 0.3592 0.7878
Na 0.8198 0.0189 0.7167
Na 0.8159 0.6953 0.6831
Na 0.3173 0.4811 0.2117
Na 0.6985 0.4740 0.2783
Na 0.7073 0.8086 0.2961
Na 0.7005 0.8592 0.7878
Na 0.3159 0.1953 0.6831
Na 0.3198 0.5189 0.7167
Nb 0.1051 0.2499 0.5782
Nb 0.1067 0.5842 0.5681
Nb 0.1061 0.9157 0.5676
Nb 0.8912 0.2498 0.9329
Nb 0.8957 0.5823 0.9410
Nb 0.1059 0.0843 0.0602
Nb 0.1053 0.4171 0.0617
Nb 0.1059 0.7503 0.0620
Nb 0.6067 0.0842 0.5681
Nb 0.6061 0.4157 0.5676
Nb 0.6051 0.7499 0.5782
Nb 0.3957 0.0823 0.9410
Nb 0.3912 0.7498 0.9329
Nb 0.6059 0.2503 0.0620
Nb 0.6059 0.5843 0.0602
Nb 0.6053 0.9171 0.0617
Zn 0.8973 0.9160 0.9459
Zn 0.8950 0.0872 0.4375
Zn 0.9011 0.4170 0.4597
Zn 0.8992 0.7498 0.4431
Zn 0.3973 0.4160 0.9459
Zn 0.3992 0.2498 0.4431
Zn 0.3950 0.5872 0.4375
Zn 0.4011 0.9170 0.4597
Si 0.9942 0.3208 0.7420
Si 0.4942 0.8208 0.7420
Si 0.3526 0.2988 0.7533
Si 0.3526 0.6308 0.7515
Si 0.3507 0.9641 0.7465
Si 0.6403 0.2977 0.7316
Si 0.6455 0.6310 0.7357
Si 0.6461 0.9673 0.7391
Si 0.6480 0.0343 0.2476
Si 0.6434 0.7004 0.2472
Si 0.3531 0.0357 0.2567
Si 0.3496 0.3695 0.2483
Si 0.3526 0.7036 0.2569
Si 0.8526 0.1308 0.7515
Si 0.8507 0.4641 0.7465
Si 0.8526 0.7988 0.7533
Si 0.1455 0.1310 0.7357
Si 0.1461 0.4673 0.7391
Si 0.1403 0.7977 0.7316
Si 0.1434 0.2004 0.2472
Si 0.1480 0.5343 0.2476
Si 0.8526 0.2036 0.2569
Si 0.8531 0.5357 0.2567
Si 0.8496 0.8695 0.2483
P 0.0010 0.6535 0.7468
P 0.0016 0.9867 0.7413
P 0.0022 0.0128 0.2425
P 0.0014 0.3461 0.2496
P 0.0019 0.6806 0.2472
P 0.5010 0.1535 0.7468
P 0.5016 0.4867 0.7413
P 0.5019 0.1806 0.2472
P 0.5022 0.5128 0.2425
P 0.5014 0.8461 0.2496
P 0.6403 0.3664 0.2393
P 0.1403 0.8664 0.2393
O 0.1502 0.1924 0.7496
O 0.1473 0.5293 0.7465
O 0.1449 0.8593 0.7392
O 0.8455 0.1905 0.7736
O 0.8476 0.5248 0.7798
O 0.8415 0.8577 0.7547
O 0.8489 0.1451 0.2459
O 0.8424 0.4771 0.2405
O 0.8404 0.8108 0.2528
O 0.1439 0.1388 0.2413
O 0.1400 0.4733 0.2443
O 0.1472 0.8082 0.2498
O 0.6473 0.0293 0.7465
O 0.6449 0.3593 0.7392
O 0.6502 0.6924 0.7496
O 0.3476 0.0248 0.7798
O 0.3415 0.3577 0.7547
O 0.3455 0.6905 0.7736
O 0.3404 0.3108 0.2528
O 0.3489 0.6451 0.2459
O 0.3424 0.9771 0.2405
O 0.6472 0.3082 0.2498
O 0.6439 0.6388 0.2413
O 0.6400 0.9733 0.2443
O 0.4287 0.1832 0.5791
O 0.4354 0.5181 0.5738
O 0.4261 0.8528 0.5668
O 0.5635 0.1874 0.9187
O 0.5658 0.5201 0.9171
O 0.5696 0.8564 0.9266
O 0.5614 0.1455 0.4163
O 0.5642 0.4772 0.4110
O 0.5657 0.8129 0.4241
O 0.4471 0.1471 0.0770
O 0.4410 0.4829 0.0689
O 0.4502 0.8117 0.0838
O 0.9354 0.0181 0.5738
O 0.9261 0.3528 0.5668
O 0.9287 0.6832 0.5791
O 0.0658 0.0201 0.9171
O 0.0696 0.3564 0.9266
O 0.0635 0.6874 0.9187
O 0.0657 0.3129 0.4241
O 0.0614 0.6455 0.4163
O 0.0642 0.9772 0.4110
O 0.9502 0.3117 0.0838
O 0.9471 0.6471 0.0770
O 0.9410 0.9829 0.0689
O 0.2548 0.2726 0.7490
O 0.2551 0.6046 0.7418
O 0.2531 0.9381 0.7330
O 0.7496 0.2784 0.7694
O 0.7551 0.6149 0.7653
O 0.7465 0.9490 0.7508
O 0.7443 0.0517 0.2476
O 0.7324 0.3908 0.2563
O 0.7354 0.7259 0.2520
O 0.2528 0.0600 0.2425
O 0.2555 0.3969 0.2535
O 0.2520 0.7296 0.2385
O 0.7551 0.1046 0.7418
O 0.7531 0.4381 0.7330
O 0.7548 0.7726 0.7490
O 0.2551 0.1149 0.7653
O 0.2465 0.4490 0.7508
O 0.2496 0.7784 0.7694
O 0.2354 0.2259 0.2520
O 0.2443 0.5517 0.2476
O 0.2324 0.8908 0.2563
O 0.7520 0.2296 0.2385
O 0.7528 0.5600 0.2425
O 0.7555 0.8969 0.2535
O 0.3476 0.2803 0.5804
O 0.3578 0.6227 0.5832
O 0.3491 0.9634 0.5679
O 0.6316 0.2834 0.9051
O 0.6379 0.6156 0.9094
O 0.6447 0.9526 0.9225
O 0.6458 0.0499 0.4266
O 0.6353 0.3811 0.4053
O 0.6415 0.7141 0.4275
O 0.3569 0.0580 0.0890
O 0.3374 0.3885 0.0683
O 0.3570 0.7253 0.0910
O 0.8578 0.1227 0.5832
O 0.8491 0.4634 0.5679
O 0.8476 0.7803 0.5804
O 0.1379 0.1156 0.9094
O 0.1447 0.4526 0.9225
O 0.1316 0.7834 0.9051
O 0.1415 0.2141 0.4275
O 0.1458 0.5499 0.4266
O 0.1353 0.8811 0.4053
O 0.8570 0.2253 0.0910
O 0.8569 0.5580 0.0890
O 0.8374 0.8885 0.0683
O 0.4616 0.2747 0.9377
O 0.4606 0.6067 0.9352
O 0.4612 0.9420 0.9246
O 0.5430 0.2776 0.5471
O 0.5467 0.6115 0.5526
O 0.5403 0.9485 0.5639
O 0.5353 0.0548 0.0741
O 0.5396 0.3811 0.0638
O 0.5297 0.7177 0.0719
O 0.4626 0.0572 0.4388
O 0.4617 0.3919 0.4296
O 0.4615 0.7248 0.4445
O 0.9606 0.1067 0.9352
O 0.9612 0.4420 0.9246
O 0.9616 0.7747 0.9377
O 0.0467 0.1115 0.5526
O 0.0403 0.4485 0.5639
O 0.0430 0.7776 0.5471
O 0.0297 0.2177 0.0719
O 0.0353 0.5548 0.0741
O 0.0396 0.8811 0.0638
O 0.9615 0.2248 0.4445
O 0.9626 0.5572 0.4388
O 0.9617 0.8919 0.4296
O 0.0847 0.2877 0.7441
O 0.0820 0.6216 0.7448
O 0.0846 0.9546 0.7399
O 0.9271 0.2799 0.7683
O 0.9309 0.6170 0.7678
O 0.9317 0.9507 0.7570
O 0.9290 0.0472 0.2522
O 0.9245 0.3802 0.2439
O 0.9232 0.7135 0.2433
O 0.0900 0.0433 0.2501
O 0.0868 0.3770 0.2504
O 0.0845 0.7124 0.2471
O 0.5820 0.1216 0.7448
O 0.5846 0.4546 0.7399
O 0.5847 0.7877 0.7441
O 0.4309 0.1170 0.7678
O 0.4317 0.4507 0.7570
O 0.4271 0.7799 0.7683
O 0.4232 0.2135 0.2433
O 0.4290 0.5472 0.2522
O 0.4245 0.8802 0.2439
O 0.5845 0.2124 0.2471
O 0.5900 0.5433 0.2501
O 0.5868 0.8770 0.2504